(1)
Density functional theory data (GGA-PBE) for a relaxed Mg14TiMo crystal.

Calculated values
Total moment   0.0 μB/f.u.
Energy   -78.34 eV for the cell shown
ρ   2.4 g/cm3
DFT formation energy   2.0 eV per formula unit

Cell lengths 10.0462, 6.0998, 11.0607 Å; angles 90.00, 90.00, 90.00 degrees
With the nearest neighbours (Å) after each atom.
Space group Amm2 (No. 38)
Unique sites:
Mg 0.0000 0.0000 0.0000 (multiplicity 2)  12 Mg 3.05-3.16
Mg 0.0000 0.0000 0.4989 (multiplicity 2)  12 Mg 3.05-3.18
Mg 0.0000 0.2489 0.2508 (multiplicity 4)  12 Mg 3.04-3.22
Mg 0.2528 0.0000 0.6599 (multiplicity 4)  1 Ti 3.03, 11 Mg 3.05-3.23
Mg 0.2609 0.0000 0.1576 (multiplicity 4)  1 Mo 2.94, 11 Mg 3.04-3.27
Mg 0.2619 0.2460 0.9184 (multiplicity 8)  1 Mo 2.98, 1 Ti 3.00, 10 Mg 3.00-3.27
Mg 0.5000 0.2478 0.7517 (multiplicity 4)  8 Mg 3.02-3.08, 2 Mo 3.14-3.18, 2 Ti 3.15-3.17
Ti 0.5000 0.0000 0.5023 (multiplicity 2)  10 Mg 3.00-3.17, 2 Mo 3.05
Mo 0.5000 0.0000 0.0046 (multiplicity 2)  10 Mg 2.94-3.18, 2 Ti 3.05

=====

(2)
Density functional theory data (GGA-PBE) for a relaxed Co4Ru crystal.

Calculated values
Total moment   6.5 μB/f.u.
Energy   -111.12 eV for the cell shown
ρ   9.5 g/cm3
DFT formation energy   0.7 eV per formula unit

Cell lengths 2.5676, 2.5676, 30.8426 Å; angles 90.00, 90.00, 120.00 degrees
With the nearest neighbours (Å) after each atom.
Space group R-3m (No. 166, hexagonal axes)
Unique sites:
Co 0.0000 0.0000 0.0968 (multiplicity 6)  9 Co 2.47-2.57, 3 Ru 2.61
Co 0.0000 0.0000 0.3006 (multiplicity 6)  12 Co 2.47-2.57
Ru 0.0000 0.0000 0.5000 (multiplicity 3)  6 Ru 2.57, 6 Co 2.61

=====

(3)
Density functional theory data (GGA-PBE) for a relaxed Na3LiTi2Si4H4O16 crystal.

Calculated values
Total moment   0.1 μB/f.u.
Energy   -827.14 eV for the cell shown
ρ   2.7 g/cm3
DFT formation energy   -81.7 eV per formula unit

Cell lengths 28.8852, 8.6741, 5.2791 Å; angles 90.00, 90.39, 90.00 degrees
With the nearest neighbours (Å) after each atom.
Space group C2/c (No. 15)
Unique sites:
Na 0.0000 0.1506 0.2500 (multiplicity 4)  4 O 2.33-2.53
Na 0.1658 0.3089 0.6157 (multiplicity 8)  6 O 2.39-2.65
Li 0.0000 0.4902 0.7500 (multiplicity 4)  4 O 2.03-2.05
Ti 0.1650 0.0942 0.1236 (multiplicity 8)  4 O 1.84-1.97
Si 0.0923 0.4010 0.0363 (multiplicity 8)  4 O 1.60-1.68
Si 0.2362 0.4074 0.2077 (multiplicity 8)  4 O 1.62-1.67
H 0.0442 0.1809 0.7408 (multiplicity 8)  1 O 0.98
H 0.0777 0.0816 0.5727 (multiplicity 8)  1 O 0.99
O 0.0376 0.3728 0.0178 (multiplicity 8)  1 Si 1.60
O 0.0447 0.0999 0.6104 (multiplicity 8)  2 H 0.98-0.99
O 0.1104 0.4781 0.3090 (multiplicity 8)  2 Si 1.67-1.68
O 0.1249 0.2476 0.9955 (multiplicity 8)  1 Si 1.65
O 0.1364 0.0692 0.4322 (multiplicity 8)  2 Ti 1.84-1.92, 1 H 1.86
O 0.2073 0.0858 0.7868 (multiplicity 8)  1 Si 1.63
O 0.2133 0.2383 0.2380 (multiplicity 8)  1 Si 1.62
O 0.2152 0.4905 0.9486 (multiplicity 8)  2 Si 1.66-1.67

=====

(4)
Density functional theory data (GGA-PBE) for a relaxed ErMgAg2 crystal.

Calculated values
Energy   -52.27 eV for the cell shown
ρ   8.0 g/cm3
DFT formation energy   -1.2 eV per formula unit

Cell lengths 6.9694, 6.9694, 6.9694 Å; angles 90.00, 90.00, 90.00 degrees
With the nearest neighbours (Å) after each atom.
Space group Fm-3m (No. 225)
Unique sites:
Er 0.0000 0.0000 0.0000 (multiplicity 4)  8 Ag 3.02
Mg 0.0000 0.0000 0.5000 (multiplicity 4)  8 Ag 3.02
Ag 0.2500 0.2500 0.2500 (multiplicity 8)  4 Mg 3.02, 4 Er 3.02

=====

(5)
Density functional theory data (GGA-PBE) for a relaxed Rb2Sr2C3O9 crystal.

Calculated values
Total moment   0.0 μB/f.u.
Energy   -443.34 eV for the cell shown
ρ   3.6 g/cm3
DFT formation energy   -39.5 eV per formula unit

Cell lengths 9.9446, 9.9446, 9.9446 Å; angles 90.00, 90.00, 90.00 degrees
With the nearest neighbours (Å) after each atom.
Space group I2_13 (No. 199)
Unique sites:
Rb 0.0652 0.4348 0.5652 (multiplicity 8)  6 O 2.90-2.92, 3 C 3.21
Sr 0.2119 0.2119 0.2119 (multiplicity 8)  9 O 2.61-2.89
C 0.0000 0.2500 0.9165 (multiplicity 12)  3 O 1.30-1.32
O 0.0000 0.2500 0.7842 (multiplicity 12)  1 C 1.32
O 0.0204 0.3901 0.2806 (multiplicity 24)  1 C 1.30

=====

(6)
Density functional theory data (GGA-PBE) for a relaxed Mg14ZrCu crystal.

Calculated values
Total moment   0.0 μB/f.u.
Energy   -68.97 eV for the cell shown
ρ   2.4 g/cm3
DFT formation energy   0.6 eV per formula unit

Cell lengths 10.0510, 6.2440, 11.1122 Å; angles 90.00, 90.00, 90.00 degrees
With the nearest neighbours (Å) after each atom.
Space group Amm2 (No. 38)
Unique sites:
Mg 0.0000 0.0000 0.0000 (multiplicity 2)  12 Mg 3.12-3.25
Mg 0.0000 0.0000 0.4972 (multiplicity 2)  12 Mg 3.09-3.23
Mg 0.0000 0.2453 0.2499 (multiplicity 4)  12 Mg 3.06-3.30
Mg 0.2464 0.0000 0.6634 (multiplicity 4)  1 Zr 3.06, 11 Mg 3.09-3.22
Mg 0.2576 0.2488 0.9173 (multiplicity 8)  10 Mg 2.98-3.29, 1 Cu 2.99, 1 Zr 3.08
Mg 0.2722 0.0000 0.1572 (multiplicity 4)  1 Cu 2.97, 11 Mg 3.05-3.30
Mg 0.5000 0.2369 0.7623 (multiplicity 4)  1 Cu 2.91, 7 Mg 2.96-3.15, 2 Zr 3.16-3.21
Zr 0.5000 0.0000 0.5109 (multiplicity 2)  10 Mg 3.06-3.21, 2 Cu 3.13
Cu 0.5000 0.0000 0.9874 (multiplicity 2)  8 Mg 2.91-2.99, 2 Zr 3.13